Entry from the Materials Project database: crystalline S2O5F2 at its relaxed geometry (PBE-GGA).

```
data_S2O5F2
_cell_length_a 7.802
_cell_length_b 7.802
_cell_length_c 9.674
_cell_angle_alpha 90.00
_cell_angle_beta 90.00
_cell_angle_gamma 90.00
_space_group_name_H-M_alt 'P -4 21 c'
_space_group_IT_number 114
loop_
_space_group_symop_operation_xyz
'x,y,z'
'y,-x,-z'
'-x,-y,z'
'-y,x,-z'
'x+1/2,-y+1/2,-z+1/2'
'y+1/2,x+1/2,z+1/2'
'-x+1/2,y+1/2,-z+1/2'
'-y+1/2,-x+1/2,z+1/2'
loop_
_atom_site_label
_atom_site_type_symbol
_atom_site_fract_x
_atom_site_fract_y
_atom_site_fract_z
S1 S 0.076 0.330 0.364
O1 O 0.000 0.500 0.284
O2 O 0.021 0.705 0.484
O3 O 0.110 0.212 0.256
F1 F 0.092 0.248 0.912
```

## Properties
- V: 16.36 Å³/atom
- Largest piezoelectric modulus: 0.15 C/m2
- DFT total energy: -5.4115 eV/atom

Entry from the Materials Project database: crystalline SbSO2F7 at its relaxed geometry (PBE-GGA).

```
data_SbSO2F7
_cell_length_a 5.219
_cell_length_b 8.289
_cell_length_c 19.034
_cell_angle_alpha 90.00
_cell_angle_beta 90.53
_cell_angle_gamma 90.00
_space_group_name_H-M_alt 'P 1 21/c 1'
_space_group_IT_number 14
loop_
_space_group_symop_operation_xyz
'x,y,z'
'-x,-y,-z'
'-x,y+1/2,-z+1/2'
'x,-y+1/2,z+1/2'
loop_
_atom_site_label
_atom_site_type_symbol
_atom_site_fract_x
_atom_site_fract_y
_atom_site_fract_z
Sb1 Sb 0.101 0.096 0.137
S1 S 0.486 0.636 0.122
O1 O 0.388 0.502 0.159
O2 O 0.451 0.668 0.050
F1 F 0.039 0.052 0.928
F2 F 0.088 0.716 0.880
F3 F 0.099 0.007 0.794
F4 F 0.221 0.154 0.359
F5 F 0.324 0.157 0.211
F6 F 0.382 0.121 0.075
F7 F 0.401 0.705 0.664
```

## Properties
- Magnetic moment: 0.012 μB per cell
- V: 18.71 Å³/atom
- DFT total energy: -4.7096 eV/atom

Entry from the Materials Project database: crystalline Se5SO3F at its relaxed geometry (PBE-GGA).

```
data_Se5SO3F
_cell_length_a 8.863
_cell_length_b 13.607
_cell_length_c 15.516
_cell_angle_alpha 90.00
_cell_angle_beta 90.00
_cell_angle_gamma 90.00
_space_group_name_H-M_alt 'P 21 21 21'
_space_group_IT_number 19
loop_
_space_group_symop_operation_xyz
'x,y,z'
'-x+1/2,-y,z+1/2'
'x+1/2,-y+1/2,-z'
'-x,y+1/2,-z+1/2'
loop_
_atom_site_label
_atom_site_type_symbol
_atom_site_fract_x
_atom_site_fract_y
_atom_site_fract_z
Se1 Se 0.031 0.120 0.498
Se2 Se 0.064 0.800 0.431
Se3 Se 0.086 0.140 0.264
Se4 Se 0.128 0.636 0.138
Se5 Se 0.143 0.000 0.894
Se6 Se 0.161 0.388 0.030
Se7 Se 0.177 0.983 0.270
Se8 Se 0.223 0.467 0.157
Se9 Se 0.240 0.838 0.946
Se10 Se 0.249 0.113 0.001
S1 S 0.023 0.281 0.774
S2 S 0.105 0.419 0.414
O1 O 0.016 0.362 0.354
O2 O 0.017 0.319 0.686
O3 O 0.038 0.513 0.439
O4 O 0.122 0.762 0.684
O5 O 0.141 0.323 0.827
O6 O 0.174 0.364 0.484
F1 F 0.085 0.166 0.759
F2 F 0.249 0.547 0.857
```

## Properties
- Magnetic moment: 0.004 μB per cell
- V: 23.39 Å³/atom
- DFT total energy: -4.5287 eV/atom

Entry from the Materials Project database: crystalline Tb3SOF5 at its relaxed geometry (PBE-GGA).

```
data_Tb3SOF5
_cell_length_a 9.444
_cell_length_b 3.702
_cell_length_c 9.503
_cell_angle_alpha 90.00
_cell_angle_beta 119.56
_cell_angle_gamma 90.00
_space_group_name_H-M_alt 'P 1 m 1'
_space_group_IT_number 6
loop_
_space_group_symop_operation_xyz
'x,y,z'
'x,-y,z'
loop_
_atom_site_label
_atom_site_type_symbol
_atom_site_fract_x
_atom_site_fract_y
_atom_site_fract_z
Tb1 Tb 0.000 0.000 0.000
Tb2 Tb 0.106 0.500 0.688
Tb3 Tb 0.272 0.500 0.374
Tb4 Tb 0.528 0.000 0.817
Tb5 Tb 0.701 0.000 0.506
Tb6 Tb 0.823 0.500 0.237
S1 S 0.078 0.000 0.441
S2 S 0.734 0.500 0.770
O1 O 0.022 0.500 0.156
O2 O 0.841 0.500 0.491
F1 F 0.129 0.500 0.941
F2 F 0.259 0.000 0.221
F3 F 0.283 0.000 0.818
F4 F 0.358 0.500 0.670
F5 F 0.449 0.000 0.536
F6 F 0.517 0.500 0.377
F7 F 0.564 0.500 0.983
F8 F 0.677 0.000 0.253
F9 F 0.783 0.000 0.056
F10 F 0.974 0.000 0.729
```

## Properties
- Magnetic moment: 0.000 μB per cell
- V: 14.45 Å³/atom
- DFT total energy: -6.9723 eV/atom

Entry from the Materials Project database: crystalline TcSO6F at its relaxed geometry (PBE-GGA).

```
data_TcSO6F
_cell_length_a 7.318
_cell_length_b 8.349
_cell_length_c 9.255
_cell_angle_alpha 90.00
_cell_angle_beta 97.27
_cell_angle_gamma 90.00
_space_group_name_H-M_alt 'P 1 21/c 1'
_space_group_IT_number 14
loop_
_space_group_symop_operation_xyz
'x,y,z'
'-x,-y,-z'
'-x,y+1/2,-z+1/2'
'x,-y+1/2,z+1/2'
loop_
_atom_site_label
_atom_site_type_symbol
_atom_site_fract_x
_atom_site_fract_y
_atom_site_fract_z
Tc1 Tc 0.246 0.153 0.154
S1 S 0.415 0.725 0.574
O1 O 0.087 0.096 0.264
O2 O 0.148 0.111 0.981
O3 O 0.249 0.143 0.663
O4 O 0.360 0.602 0.672
O5 O 0.466 0.152 0.353
O6 O 0.471 0.665 0.438
F1 F 0.232 0.682 0.020
```

## Properties
- Magnetic moment: 0.000 μB per cell
- V: 15.58 Å³/atom
- DFT total energy: -6.4164 eV/atom

Entry from the Materials Project database: crystalline S2XeO6F2 at its relaxed geometry (PBE-GGA).

```
data_S2XeO6F2
_cell_length_a 7.053
_cell_length_b 13.884
_cell_length_c 10.190
_cell_angle_alpha 90.00
_cell_angle_beta 126.65
_cell_angle_gamma 90.00
_space_group_name_H-M_alt 'P 1 21/c 1'
_space_group_IT_number 14
loop_
_space_group_symop_operation_xyz
'x,y,z'
'-x,-y,-z'
'-x,y+1/2,-z+1/2'
'x,-y+1/2,z+1/2'
loop_
_atom_site_label
_atom_site_type_symbol
_atom_site_fract_x
_atom_site_fract_y
_atom_site_fract_z
S1 S 0.086 0.037 0.254
S2 S 0.382 0.701 0.207
Xe1 Xe 0.275 0.128 0.774
O1 O 0.068 0.120 0.165
O2 O 0.129 0.028 0.868
O3 O 0.136 0.043 0.412
O4 O 0.350 0.687 0.056
O5 O 0.408 0.622 0.307
O6 O 0.422 0.225 0.678
F1 F 0.152 0.742 0.661
F2 F 0.296 0.526 0.780
```

## Properties
- Magnetic moment: 0.005 μB per cell
- V: 18.20 Å³/atom
- DFT total energy: -4.8092 eV/atom

Entry from the Materials Project database: crystalline YSO4F at its relaxed geometry (PBE-GGA).

```
data_YSO4F
_cell_length_a 8.412
_cell_length_b 7.003
_cell_length_c 6.452
_cell_angle_alpha 90.00
_cell_angle_beta 90.00
_cell_angle_gamma 90.00
_space_group_name_H-M_alt 'P n m a'
_space_group_IT_number 62
loop_
_space_group_symop_operation_xyz
'x,y,z'
'-x,-y,-z'
'-x+1/2,-y,z+1/2'
'x+1/2,y,-z+1/2'
'x+1/2,-y+1/2,-z+1/2'
'-x+1/2,y+1/2,z+1/2'
'-x,y+1/2,-z'
'x,-y+1/2,z'
loop_
_atom_site_label
_atom_site_type_symbol
_atom_site_fract_x
_atom_site_fract_y
_atom_site_fract_z
Y1 Y 0.054 0.250 0.152
S1 S 0.093 0.750 0.314
O1 O 0.020 0.250 0.512
O2 O 0.061 0.582 0.174
O3 O 0.242 0.250 0.882
F1 F 0.206 0.750 0.798
```

## Properties
- Magnetic moment: 0.000 μB per cell
- V: 13.57 Å³/atom
- DFT total energy: -7.1396 eV/atom

Entry from the Materials Project database: crystalline SbOF3 at its relaxed geometry (PBE-GGA).

```
data_SbOF3
_cell_length_a 9.312
_cell_length_b 9.312
_cell_length_c 3.776
_cell_angle_alpha 90.00
_cell_angle_beta 90.00
_cell_angle_gamma 90.00
_space_group_name_H-M_alt 'P -4 21 m'
_space_group_IT_number 113
loop_
_space_group_symop_operation_xyz
'x,y,z'
'y,-x,-z'
'-x,-y,z'
'-y,x,-z'
'x+1/2,-y+1/2,-z'
'y+1/2,x+1/2,z'
'-x+1/2,y+1/2,-z'
'-y+1/2,-x+1/2,z'
loop_
_atom_site_label
_atom_site_type_symbol
_atom_site_fract_x
_atom_site_fract_y
_atom_site_fract_z
Sb1 Sb 0.130 0.370 0.258
O1 O 0.111 0.389 0.758
F1 F 0.094 0.594 0.258
F2 F 0.107 0.169 0.256
```

## Properties
- Magnetic moment: 0.001 μB per cell
- V: 16.37 Å³/atom
- DFT total energy: -4.8516 eV/atom
- Distance to the lowest polymorph of the same formula: 31 meV/atom

Entry from the Materials Project database: crystalline SbOF at its relaxed geometry (PBE-GGA).

```
data_SbOF
_cell_length_a 5.721
_cell_length_b 6.365
_cell_length_c 5.595
_cell_angle_alpha 90.00
_cell_angle_beta 95.85
_cell_angle_gamma 90.00
_space_group_name_H-M_alt 'P 1 21/c 1'
_space_group_IT_number 14
loop_
_space_group_symop_operation_xyz
'x,y,z'
'-x,-y,-z'
'-x,y+1/2,-z+1/2'
'x,-y+1/2,z+1/2'
loop_
_atom_site_label
_atom_site_type_symbol
_atom_site_fract_x
_atom_site_fract_y
_atom_site_fract_z
Sb1 Sb 0.228 0.022 0.185
O1 O 0.071 0.158 0.878
F1 F 0.390 0.682 0.454
```

## Properties
- Magnetic moment: 0.000 μB per cell
- V: 16.89 Å³/atom
- DFT total energy: -5.4240 eV/atom

Entry from the Materials Project database: crystalline SbOF3 at its relaxed geometry (PBE-GGA).

```
data_SbOF3
_cell_length_a 6.739
_cell_length_b 7.739
_cell_length_c 8.430
_cell_angle_alpha 98.50
_cell_angle_beta 111.44
_cell_angle_gamma 109.90
_space_group_name_H-M_alt 'P -1'
_space_group_IT_number 2
loop_
_space_group_symop_operation_xyz
'x,y,z'
'-x,-y,-z'
loop_
_atom_site_label
_atom_site_type_symbol
_atom_site_fract_x
_atom_site_fract_y
_atom_site_fract_z
Sb1 Sb 0.014 0.019 0.208
Sb2 Sb 0.163 0.388 0.606
O1 O 0.027 0.151 0.651
O2 O 0.100 0.268 0.365
F1 F 0.055 0.174 0.026
F2 F 0.179 0.622 0.508
F3 F 0.210 0.557 0.816
F4 F 0.310 0.041 0.914
F5 F 0.328 0.054 0.273
F6 F 0.489 0.455 0.698
```

## Properties
- Magnetic moment: 0.000 μB per cell
- V: 18.28 Å³/atom
- DFT total energy: -4.8823 eV/atom
- Distance to the lowest polymorph of the same formula: 0 meV/atom

Entry from the Materials Project database: crystalline SbOF at its relaxed geometry (PBE-GGA).

```
data_SbOF
_cell_length_a 8.928
_cell_length_b 4.157
_cell_length_c 5.820
_cell_angle_alpha 90.00
_cell_angle_beta 90.00
_cell_angle_gamma 90.00
_space_group_name_H-M_alt 'P n m a'
_space_group_IT_number 62
loop_
_space_group_symop_operation_xyz
'x,y,z'
'-x,-y,-z'
'-x+1/2,-y,z+1/2'
'x+1/2,y,-z+1/2'
'x+1/2,-y+1/2,-z+1/2'
'-x+1/2,y+1/2,z+1/2'
'-x,y+1/2,-z'
'x,-y+1/2,z'
loop_
_atom_site_label
_atom_site_type_symbol
_atom_site_fract_x
_atom_site_fract_y
_atom_site_fract_z
Sb1 Sb 0.069 0.250 0.205
O1 O 0.051 0.750 0.091
F1 F 0.229 0.750 0.557
```

## Properties
- V: 18.00 Å³/atom
- DFT total energy: -5.4802 eV/atom

no.,ΔH_f (0 K) (eV/atom),ρ (g cm⁻³)
1,-1.802,2.05
2,-2.259,2.57
3,-0.944,3.51
4,-4.066,7.12
5,-1.804,2.90
6,-1.466,2.73
7,-2.983,3.56
8,-2.302,3.95
9,-2.143,5.14
10,-2.333,3.54
11,-2.199,4.82